1.
Computed, not measured: Na7Zn3GaSi4O16 after structural relaxation at the PBE level of DFT.

Output
Symmetry: Pc
Calculated formation energy, eV/atom: -2.440

a b c (Å): 5.2081 10.4386 15.1683
angles (deg): 90.00 90.52 90.00
Closest atoms and distances in Å follow each position.
Element x y z (fractional)
Na 0.0000 0.0079 0.0000  3 O 2.30-2.48
Na 0.0000 0.9921 0.5000  3 O 2.30-2.48
Na 0.3866 0.4583 0.1224  3 O 2.18-2.38
Na 0.3866 0.5417 0.6224  3 O 2.18-2.38
Na 0.4166 0.2653 0.2635  4 O 2.19-2.42
Na 0.4166 0.7347 0.7635  4 O 2.19-2.42
Na 0.5157 0.2412 0.7628  3 O 2.15-2.40
Na 0.5157 0.7588 0.2628  3 O 2.15-2.40
Na 0.5385 0.0206 0.6366  2 O 2.15-2.22
Na 0.5385 0.9794 0.1366  2 O 2.15-2.22
Na 0.9505 0.3138 0.9102  3 O 2.21-2.40
Na 0.9505 0.6862 0.4102  3 O 2.21-2.40
Na 0.9866 0.2693 0.3978  3 O 2.38-2.50
Na 0.9866 0.7307 0.8978  3 O 2.38-2.50
Zn 0.4437 0.4822 0.8837  4 O 1.93-2.11
Zn 0.4437 0.5178 0.3837  4 O 1.93-2.11
Zn 0.4448 0.2153 0.0085  3 O 1.91-2.04
Zn 0.4448 0.7847 0.5085  3 O 1.91-2.04
Zn 0.5008 0.0244 0.3829  4 O 1.90-2.11
Zn 0.5008 0.9756 0.8829  4 O 1.90-2.11
Ga 0.5111 0.2754 0.5120  4 O 1.80-1.98
Ga 0.5111 0.7246 0.0120  4 O 1.80-1.98
Si 0.0274 0.2596 0.6375  4 O 1.63-1.70
Si 0.0274 0.7404 0.1375  4 O 1.63-1.70
Si 0.0319 0.0167 0.7610  4 O 1.62-1.72
Si 0.0319 0.9833 0.2610  4 O 1.62-1.72
Si 0.8982 0.2311 0.1344  4 O 1.61-1.71
Si 0.8982 0.7689 0.6344  4 O 1.61-1.71
Si 0.9084 0.4804 0.2519  4 O 1.62-1.71
Si 0.9084 0.5196 0.7519  4 O 1.62-1.71
O 0.0171 0.3394 0.2086  2 Si 1.71
O 0.0171 0.6606 0.7086  2 Si 1.71
O 0.0460 0.2328 0.0413  1 Si 1.61
O 0.0460 0.7672 0.5413  1 Si 1.61
O 0.0546 0.4940 0.3465  1 Si 1.62
O 0.0546 0.5060 0.8465  1 Si 1.62
O 0.3334 0.2330 0.6234  1 Si 1.63
O 0.3334 0.7670 0.1234  1 Si 1.63
O 0.3434 0.0228 0.7662  1 Si 1.63
O 0.3434 0.9772 0.2662  1 Si 1.63
O 0.4333 0.2099 0.4029  1 Ga 1.83, 1 Zn 1.99
O 0.4333 0.7901 0.9029  1 Ga 1.83, 1 Zn 1.99
O 0.4731 0.0317 0.0014  2 Zn 1.90-1.93
O 0.4731 0.9683 0.5014  2 Zn 1.90-1.93
O 0.4906 0.2997 0.8984  2 Zn 1.91-1.93
O 0.4906 0.7003 0.3984  2 Zn 1.91-1.93
O 0.4925 0.4463 0.5002  1 Ga 1.80, 1 Zn 1.93
O 0.4925 0.5537 0.0002  1 Ga 1.80, 1 Zn 1.93
O 0.5908 0.2543 0.1307  1 Si 1.62
O 0.5908 0.7457 0.6307  1 Si 1.62
O 0.5979 0.4790 0.2589  1 Si 1.62
O 0.5979 0.5210 0.7589  1 Si 1.62
O 0.8642 0.2289 0.5461  1 Si 1.65
O 0.8642 0.7711 0.0461  1 Si 1.65
O 0.8950 0.0181 0.3535  1 Si 1.62
O 0.8950 0.9819 0.8535  1 Si 1.62
O 0.9273 0.1612 0.7196  2 Si 1.70-1.72
O 0.9273 0.8388 0.2196  2 Si 1.70-1.72
O 0.9464 0.0845 0.1795  2 Si 1.68-1.69
O 0.9464 0.9155 0.6795  2 Si 1.68-1.69
O 0.9903 0.4072 0.6766  2 Si 1.66-1.70
O 0.9903 0.5928 0.1766  2 Si 1.66-1.70

2.
Computed, not measured: NaGaTe2O6 after structural relaxation at the PBE level of DFT.

Output
Symmetry: Pbca
Calculated formation energy, eV/atom: -1.805

a b c (Å): 7.9211 13.5914 10.4883
angles (deg): 90.00 90.00 90.00
Closest atoms and distances in Å follow each position.
Element x y z (fractional)
Na 0.1735 0.1430 0.2435  6 O 2.45-2.74
Na 0.1735 0.3570 0.7435  6 O 2.45-2.74
Na 0.3265 0.6430 0.2435  6 O 2.45-2.74
Na 0.3265 0.8570 0.7435  6 O 2.45-2.74
Na 0.6735 0.1430 0.2565  6 O 2.45-2.74
Na 0.6735 0.3570 0.7565  6 O 2.45-2.74
Na 0.8265 0.6430 0.2565  6 O 2.45-2.74
Na 0.8265 0.8570 0.7565  6 O 2.45-2.74
Ga 0.1944 0.0199 0.5024  6 O 1.94-2.10
Ga 0.1944 0.4801 0.0024  6 O 1.94-2.10
Ga 0.3056 0.5199 0.5024  6 O 1.94-2.10
Ga 0.3056 0.9801 0.0024  6 O 1.94-2.10
Ga 0.6944 0.0199 0.9976  6 O 1.94-2.10
Ga 0.6944 0.4801 0.4976  6 O 1.94-2.10
Ga 0.8056 0.5199 0.9976  6 O 1.94-2.10
Ga 0.8056 0.9801 0.4976  6 O 1.94-2.10
Te 0.0496 0.0744 0.7886  3 O 1.93-1.95
Te 0.0496 0.4256 0.2886  3 O 1.93-1.95
Te 0.0799 0.7326 0.9899  3 O 1.88-1.94
Te 0.0799 0.7674 0.4899  3 O 1.88-1.94
Te 0.4201 0.2326 0.9899  3 O 1.88-1.94
Te 0.4201 0.2674 0.4899  3 O 1.88-1.94
Te 0.4504 0.5744 0.7886  3 O 1.93-1.95
Te 0.4504 0.9256 0.2886  3 O 1.93-1.95
Te 0.5496 0.0744 0.7114  3 O 1.93-1.95
Te 0.5496 0.4256 0.2114  3 O 1.93-1.95
Te 0.5799 0.7326 0.5101  3 O 1.88-1.94
Te 0.5799 0.7674 0.0101  3 O 1.88-1.94
Te 0.9201 0.2326 0.5101  3 O 1.88-1.94
Te 0.9201 0.2674 0.0101  3 O 1.88-1.94
Te 0.9504 0.5744 0.7114  3 O 1.93-1.95
Te 0.9504 0.9256 0.2114  3 O 1.93-1.95
O 0.0017 0.0080 0.6278  1 Te 1.95, 2 Ga 2.02-2.10
O 0.0017 0.4920 0.1278  1 Te 1.95, 2 Ga 2.02-2.10
O 0.0699 0.7336 0.8108  1 Te 1.88
O 0.0699 0.7664 0.3108  1 Te 1.88
O 0.1293 0.1633 0.4730  1 Te 1.94, 1 Ga 2.04
O 0.1293 0.3367 0.9730  1 Te 1.94, 1 Ga 2.04
O 0.1318 0.5414 0.3757  1 Te 1.93, 1 Ga 1.94
O 0.1318 0.9586 0.8757  1 Te 1.93, 1 Ga 1.94
O 0.1809 0.5480 0.6609  1 Te 1.93, 1 Ga 1.97
O 0.1809 0.9520 0.1609  1 Te 1.93, 1 Ga 1.97
O 0.2375 0.6271 0.0195  1 Te 1.93, 1 Ga 2.03
O 0.2375 0.8729 0.5195  1 Te 1.93, 1 Ga 2.03
O 0.2625 0.1271 0.0195  1 Te 1.93, 1 Ga 2.03
O 0.2625 0.3729 0.5195  1 Te 1.93, 1 Ga 2.03
O 0.3191 0.0480 0.6609  1 Te 1.93, 1 Ga 1.97
O 0.3191 0.4520 0.1609  1 Te 1.93, 1 Ga 1.97
O 0.3682 0.0414 0.3757  1 Te 1.93, 1 Ga 1.94
O 0.3682 0.4586 0.8757  1 Te 1.93, 1 Ga 1.94
O 0.3707 0.6633 0.4730  1 Te 1.94, 1 Ga 2.04
O 0.3707 0.8367 0.9730  1 Te 1.94, 1 Ga 2.04
O 0.4301 0.2336 0.8108  1 Te 1.88
O 0.4301 0.2664 0.3108  1 Te 1.88
O 0.4983 0.5080 0.6278  1 Te 1.95, 2 Ga 2.02-2.10
O 0.4983 0.9920 0.1278  1 Te 1.95, 2 Ga 2.02-2.10
O 0.5017 0.0080 0.8722  1 Te 1.95, 2 Ga 2.02-2.10
O 0.5017 0.4920 0.3722  1 Te 1.95, 2 Ga 2.02-2.10
O 0.5699 0.7336 0.6892  1 Te 1.88
O 0.5699 0.7664 0.1892  1 Te 1.88
O 0.6293 0.1633 0.0270  1 Te 1.94, 1 Ga 2.04
O 0.6293 0.3367 0.5270  1 Te 1.94, 1 Ga 2.04
O 0.6318 0.5414 0.1243  1 Te 1.93, 1 Ga 1.94
O 0.6318 0.9586 0.6243  1 Te 1.93, 1 Ga 1.94
O 0.6809 0.5480 0.8391  1 Te 1.93, 1 Ga 1.97
O 0.6809 0.9520 0.3391  1 Te 1.93, 1 Ga 1.97
O 0.7375 0.6271 0.4805  1 Te 1.93, 1 Ga 2.03
O 0.7375 0.8729 0.9805  1 Te 1.93, 1 Ga 2.03
O 0.7625 0.1271 0.4805  1 Te 1.93, 1 Ga 2.03
O 0.7625 0.3729 0.9805  1 Te 1.93, 1 Ga 2.03
O 0.8191 0.0480 0.8391  1 Te 1.93, 1 Ga 1.97
O 0.8191 0.4520 0.3391  1 Te 1.93, 1 Ga 1.97
O 0.8682 0.0414 0.1243  1 Te 1.93, 1 Ga 1.94
O 0.8682 0.4586 0.6243  1 Te 1.93, 1 Ga 1.94
O 0.8707 0.6633 0.0270  1 Te 1.94, 1 Ga 2.04
O 0.8707 0.8367 0.5270  1 Te 1.94, 1 Ga 2.04
O 0.9301 0.2336 0.6892  1 Te 1.88
O 0.9301 0.2664 0.1892  1 Te 1.88
O 0.9983 0.5080 0.8722  1 Te 1.95, 2 Ga 2.02-2.10
O 0.9983 0.9920 0.3722  1 Te 1.95, 2 Ga 2.02-2.10